KBaCeMnO6: relaxed, GGA+U.

crystal system: cubic
E_tot: -6.8211 eV per atom
energy of formation from the pure elements: -2.62 eV/atom

CIF file:
```
data_KBaCeMnO6
_cell_length_a 5.908
_cell_length_b 5.908
_cell_length_c 5.908
_cell_angle_alpha 60.00
_cell_angle_beta 60.00
_cell_angle_gamma 60.00
_symmetry_space_group_name_H-M 'P 1'
_symmetry_Int_Tables_number 1
loop_
_symmetry_equiv_pos_as_xyz
'x,y,z'
loop_
_atom_site_label
_atom_site_type_symbol
_atom_site_fract_x
_atom_site_fract_y
_atom_site_fract_z
K1 K 0.250 0.250 0.250
O1 O 0.267 0.733 0.267
O2 O 0.267 0.267 0.733
O3 O 0.733 0.733 0.267
O4 O 0.267 0.733 0.733
Ce1 Ce 0.000 0.000 0.000
Ba1 Ba 0.750 0.750 0.750
O5 O 0.733 0.267 0.733
Mn1 Mn 0.500 0.500 0.500
O6 O 0.733 0.267 0.267
```